Entry 1:
The following is a PBE calculation of a relaxed Ta8CoSe8 crystal, from the Materials Project database.

abc: 22.742 3.450 17.061
angles: 90.00 90.00 90.00
Element x y z (fractional)
Ta  0.017  0.250  0.166
Ta  0.045  0.250  0.958
Ta  0.054  0.750  0.303
Ta  0.057  0.750  0.683
Ta  0.123  0.750  0.841
Ta  0.167  0.250  0.707
Ta  0.185  0.750  0.561
Ta  0.245  0.250  0.448
Ta  0.255  0.750  0.948
Ta  0.315  0.250  0.061
Ta  0.333  0.750  0.207
Ta  0.377  0.250  0.341
Ta  0.443  0.250  0.183
Ta  0.446  0.250  0.803
Ta  0.455  0.750  0.458
Ta  0.483  0.750  0.666
Ta  0.517  0.250  0.334
Ta  0.545  0.250  0.542
Ta  0.554  0.750  0.197
Ta  0.557  0.750  0.817
Ta  0.623  0.750  0.659
Ta  0.667  0.250  0.793
Ta  0.685  0.750  0.939
Ta  0.745  0.250  0.052
Ta  0.755  0.750  0.552
Ta  0.815  0.250  0.439
Ta  0.833  0.750  0.293
Ta  0.877  0.250  0.159
Ta  0.943  0.250  0.317
Ta  0.946  0.250  0.697
Ta  0.955  0.750  0.042
Ta  0.983  0.750  0.834
Co  0.054  0.250  0.791
Co  0.446  0.750  0.291
Co  0.554  0.250  0.709
Co  0.946  0.750  0.209
Se  0.031  0.250  0.413
Se  0.074  0.750  0.069
Se  0.098  0.250  0.576
Se  0.121  0.250  0.232
Se  0.162  0.250  0.950
Se  0.165  0.750  0.409
Se  0.231  0.750  0.787
Se  0.236  0.750  0.104
Se  0.264  0.250  0.604
Se  0.269  0.250  0.287
Se  0.335  0.250  0.909
Se  0.338  0.750  0.450
Se  0.379  0.750  0.732
Se  0.402  0.750  0.076
Se  0.426  0.250  0.569
Se  0.469  0.750  0.913
Se  0.531  0.250  0.087
Se  0.574  0.750  0.431
Se  0.598  0.250  0.924
Se  0.621  0.250  0.268
Se  0.662  0.250  0.550
Se  0.665  0.750  0.091
Se  0.731  0.750  0.713
Se  0.736  0.750  0.396
Se  0.764  0.250  0.896
Se  0.769  0.250  0.213
Se  0.835  0.250  0.591
Se  0.838  0.750  0.050
Se  0.879  0.750  0.768
Se  0.902  0.750  0.424
Se  0.926  0.250  0.931
Se  0.969  0.750  0.587

Output
crystal system = orthorhombic
calculated formation energy = -0.88 eV per atom
E_tot = -564.2 eV/cell

Entry 2:
The following is a PBE calculation of a relaxed CoTeSe crystal, from the Materials Project database.

abc: 3.635 3.635 5.424
angles: 90.00 90.00 120.00
Element x y z (fractional)
Co  0.000  0.000  0.000
Te  0.667  0.333  0.266
Se  0.333  0.667  0.788

Output
crystal system = trigonal
calculated formation energy = -0.39 eV per atom
E_tot = -14.5 eV/cell

Entry 3:
The following is a PBE calculation of a relaxed Ti2CoSe4 crystal, from the Materials Project database.

abc: 6.842 6.842 6.144
angles: 116.35 116.35 30.40
Element x y z (fractional)
Ti  0.248  0.248  0.235
Ti  0.752  0.752  0.765
Co  0.500  0.500  0.500
Se  0.119  0.119  0.455
Se  0.386  0.386  0.050
Se  0.614  0.614  0.950
Se  0.881  0.881  0.545

Output
crystal system = monoclinic
calculated formation energy = -1.18 eV per atom
E_tot = -43.2 eV/cell

Entry 4:
The following is a PBE calculation of a relaxed Ti5CoSe10 crystal, from the Materials Project database.

abc: 6.149 7.017 8.626
angles: 107.12 110.85 90.01
Element x y z (fractional)
Ti  0.000  0.000  0.000
Ti  0.205  0.399  0.399
Ti  0.397  0.798  0.798
Ti  0.603  0.202  0.202
Ti  0.795  0.601  0.601
Co  0.500  0.500  0.000
Se  0.016  0.952  0.699
Se  0.185  0.444  0.703
Se  0.215  0.355  0.096
Se  0.386  0.844  0.104
Se  0.416  0.753  0.499
Se  0.584  0.247  0.501
Se  0.614  0.156  0.896
Se  0.785  0.645  0.904
Se  0.815  0.556  0.297
Se  0.984  0.048  0.301

Output
crystal system = triclinic
calculated formation energy = -1.32 eV per atom
E_tot = -98.0 eV/cell

Entry 5:
The following is a PBE calculation of a relaxed U8CoSe17 crystal, from the Materials Project database.

abc: 8.161 8.161 10.782
angles: 100.02 100.02 64.34
Element x y z (fractional)
U  0.180  0.697  0.797
U  0.200  0.200  0.955
U  0.303  0.820  0.203
U  0.320  0.320  0.487
U  0.680  0.680  0.513
U  0.697  0.180  0.797
U  0.800  0.800  0.045
U  0.820  0.303  0.203
Co  0.000  0.000  0.500
Se  0.000  0.000  0.000
Se  0.054  0.054  0.722
Se  0.054  0.681  0.526
Se  0.182  0.564  0.036
Se  0.215  0.215  0.223
Se  0.298  0.298  0.744
Se  0.319  0.946  0.474
Se  0.436  0.818  0.964
Se  0.479  0.479  0.330
Se  0.521  0.521  0.670
Se  0.564  0.182  0.036
Se  0.681  0.054  0.526
Se  0.702  0.702  0.256
Se  0.785  0.785  0.777
Se  0.818  0.436  0.964
Se  0.946  0.319  0.474
Se  0.946  0.946  0.278

Output
crystal system = monoclinic
calculated formation energy = -1.40 eV per atom
E_tot = -185.2 eV/cell

Entry 6:
The following is a PBE calculation of a relaxed Zn4CoSe5 crystal, from the Materials Project database.

abc: 6.982 6.982 9.873
angles: 118.06 118.06 33.70
Element x y z (fractional)
Zn  0.000  0.000  0.000
Zn  0.199  0.199  0.802
Zn  0.397  0.397  0.596
Zn  0.597  0.597  0.397
Co  0.798  0.798  0.199
Se  0.203  0.203  0.056
Se  0.399  0.399  0.848
Se  0.598  0.598  0.649
Se  0.797  0.797  0.442
Se  0.993  0.993  0.247

Output
crystal system = monoclinic
calculated formation energy = -0.79 eV per atom
E_tot = -35.2 eV/cell